[1]
The following is a DFT calculation (PBE) of a relaxed structure of LiCaP3H8O13.

abc: 7.3133 7.8594 10.2373
angles: 84.97 74.68 77.11
Element x y z (fractional)
O: 0.0244 0.2480 0.8975
O: 0.8257 0.7136 0.3823
O: 0.7842 0.6134 0.9539
Ca: 0.1758 0.1924 0.2424
O: 0.6406 0.1473 0.4204
O: 0.1181 0.8543 0.8120
H: 0.9226 0.7420 0.2022
P: 0.7562 0.2027 0.5202
O: 0.4143 0.6496 0.1427
H: 0.3064 0.8674 0.0995
O: 0.2158 0.3866 0.0461
O: 0.1743 0.2864 0.6177
O: 0.4730 0.8770 0.7880
P: 0.6713 0.1963 0.2585
H: 0.9021 0.3346 0.9167
H: 0.3077 0.3040 0.5995
H: 0.6496 0.6214 0.0101
H: 0.6408 0.0267 0.0366
O: 0.3847 0.5918 0.7447
H: 0.8169 0.8193 0.4291
H: 0.0979 0.6654 0.0833
H: 0.8531 0.6535 0.0135
H: 0.1469 0.3465 0.9865
O: 0.6153 0.4082 0.2553
P: 0.2438 0.7973 0.4798
P: 0.3287 0.8037 0.7415
O: 0.5857 0.3504 0.8573
O: 0.2438 0.4453 0.3266
H: 0.0774 0.2580 0.7978
O: 0.5779 0.3450 0.6078
O: 0.9109 0.2956 0.4394
P: 0.5935 0.4598 0.7290
O: 0.4221 0.6550 0.3922
H: 0.6936 0.1326 0.9005
H: 0.3504 0.3786 0.9899
H: 0.3592 0.9733 0.9634
O: 0.0891 0.7044 0.5606
O: 0.3594 0.8527 0.5796
O: 0.7279 0.0162 0.9443
O: 0.5270 0.1230 0.2120
O: 0.9756 0.7520 0.1025
O: 0.8071 0.0489 0.6095
O: 0.7562 0.5547 0.6734
H: 0.1831 0.1807 0.5709
O: 0.8819 0.1457 0.1880
O: 0.1929 0.9511 0.3905
Li: 0.0000 0.5000 0.5000
Ca: 0.8242 0.8076 0.7577
O: 0.2721 0.9838 0.0557
H: 0.6923 0.6960 0.4005
Li: 0.0000 0.0000 0.0000
P: 0.4065 0.5402 0.2710

Space group   P-1 (2)
Calculated density   2.14 Mg/m³

---

[2]
The following is a DFT calculation (PBE) of a relaxed structure of SiO2.

abc: 12.9408 10.6743 8.1095
angles: 85.95 55.37 38.69
Element x y z (fractional)
O: 0.0364 0.0396 0.7076
Si: 0.4913 0.8971 0.3827
O: 0.7447 0.5021 0.7631
O: 0.5813 0.5663 0.1721
O: 0.9593 0.9700 0.2923
O: 0.5031 0.7461 0.4948
O: 0.5019 0.2434 0.5047
Si: 0.2601 0.6224 0.1210
O: 0.9978 0.5029 0.5076
Si: 0.5072 0.1035 0.6152
O: 0.5052 0.4960 0.9903
Si: 0.3741 0.7437 0.5024
O: 0.8195 0.8267 0.4309
O: 0.4155 0.4355 0.8331
Si: 0.8906 0.4913 0.7289
Si: 0.1076 0.5022 0.2703
O: 0.2515 0.5013 0.2460
O: 0.2780 0.2957 0.9670
O: 0.4970 0.0021 0.5084
O: 0.7168 0.7130 0.0363
O: 0.5067 0.4965 0.4908
Si: 0.6155 0.2654 0.5085
Si: 0.7446 0.3719 0.8804
O: 0.1817 0.1707 0.5657

Space group   P1 (1)
Calculated density   2.01 Mg/m³

---

[3]
The following is a DFT calculation (PBE) of a relaxed structure of Ba2Tc2O5.

abc: 3.9737 3.9737 8.5365
angles: 90.00 90.00 90.00
Element x y z (fractional)
Ba: 0.0000 0.0000 0.5000
Tc: 0.5000 0.5000 0.2413
O: 0.5000 0.0000 0.7640
O: 0.0000 0.5000 0.2360
Ba: 0.0000 0.0000 0.0000
Tc: 0.5000 0.5000 0.7587
O: 0.0000 0.5000 0.7640
O: 0.5000 0.0000 0.2360
O: 0.5000 0.5000 0.5000

Space group   P4/mmm (123)
Calculated density   6.78 Mg/m³

---

[4]
The following is a DFT calculation (PBE) of a relaxed structure of FeAgTe2.

abc: 4.1367 4.1367 5.9096
angles: 90.00 90.00 120.00
Element x y z (fractional)
Fe: 0.0000 0.0000 0.0000
Te: 0.6667 0.3333 0.1974
Ag: 0.0000 0.0000 0.5000
Te: 0.3333 0.6667 0.8026

Space group   P-3m1 (164)
Calculated density   7.94 Mg/m³

---

| no. | total moment (μB/f.u.) | formation energy from the elements (meV per atom) |
| --- | --- | --- |
| 1 | 0.001 | -2128 |
| 2 | 0.000 | -3057 |
| 3 | 0.003 | -2176 |
| 4 | 0.758 | -158 |